LiVP2HO8 | the Materials Project | GGA+U | relaxed; total magnetic moment = 4.00 Bohr magnetons per cell
1.0
7.998 0.000 0.000
0.000 7.750 0.000
0.000 3.586 9.033
O P V Li H
32 8 4 4 4
Cartesian
1.386 7.491 7.794
4.413 1.273 1.309
0.414 10.064 7.724
7.496 4.477 5.363
0.328 4.723 8.195
1.368 9.034 5.385
7.639 2.749 0.854
6.622 6.159 3.634
0.423 8.247 3.221
2.595 3.622 7.807
2.620 3.405 0.900
3.561 4.357 3.235
5.385 3.845 1.239
2.589 1.718 3.166
4.422 3.089 5.812
1.409 5.611 3.165
2.622 5.177 5.399
7.578 5.143 1.308
6.619 7.931 8.133
5.408 5.725 5.868
3.579 6.193 7.725
3.640 8.587 8.179
7.560 6.979 5.797
5.353 4.065 8.140
6.589 9.618 5.867
6.594 7.714 1.225
4.327 6.613 0.838
4.499 8.332 5.342
3.497 6.860 3.669
0.500 3.005 3.691
1.354 7.272 0.893
5.367 2.302 3.647
5.227 9.653 5.131
2.768 7.330 8.433
6.752 5.818 5.121
5.192 7.843 0.605
2.752 5.518 3.912
1.228 1.683 3.902
6.767 4.007 0.600
1.193 3.493 8.428
4.073 2.856 2.283
3.919 4.566 6.766
7.918 6.770 2.267
0.074 8.481 6.749
6.945 3.590 7.041
1.037 3.893 2.036
5.036 7.444 6.997
2.946 7.746 1.991
7.947 3.837 4.596
3.947 7.500 4.437
3.937 9.304 8.956
7.936 2.032 0.076



Li4VP6H8O22 | the Materials Project | GGA+U | relaxed; total magnetic moment = 3.00 Bohr magnetons per cell
1.0
7.002 0.000 0.000
0.551 7.531 0.000
1.971 0.637 8.251
O P V Li H
22 6 1 4 8
Cartesian
6.026 1.795 0.630
5.764 3.134 7.519
3.152 7.141 3.897
3.498 6.372 7.621
6.857 3.526 4.542
3.498 1.918 7.493
2.169 1.808 2.759
1.464 7.188 1.990
0.812 4.078 1.623
2.668 4.641 3.709
6.373 1.027 4.354
4.915 5.637 2.925
3.963 7.494 1.529
7.355 6.359 5.493
8.060 0.980 6.262
5.561 0.674 6.723
5.084 2.619 2.869
8.712 4.090 6.628
3.760 5.033 0.732
4.440 5.549 5.382
6.026 6.249 0.758
4.609 2.530 5.327
5.776 2.529 4.189
4.679 6.044 1.362
7.367 7.831 5.741
2.157 0.336 2.510
4.845 2.123 6.889
3.748 5.638 4.063
0.000 0.000 0.000
1.837 2.972 4.833
7.687 5.195 3.418
3.000 3.427 1.880
6.524 4.740 6.371
2.110 3.527 7.327
3.833 6.238 6.685
5.691 1.930 1.567
2.171 4.950 6.707
7.353 3.218 1.544
5.238 2.039 0.069
7.415 4.641 0.924
4.287 6.129 8.183



Li2VPHO5 | the Materials Project | GGA+U | relaxed; total magnetic moment = 6.00 Bohr magnetons per cell
1.0
-2.494 4.305 -2.087
1.074 -2.300 -4.989
-5.218 -4.389 3.636
O P V Li H
10 2 2 4 2
Cartesian
-3.501 1.021 -1.293
-3.957 -2.280 0.050
-3.137 -3.405 -2.147
-5.584 -3.116 -1.650
-4.274 -4.787 -0.303
-2.364 2.403 -3.137
-5.749 0.195 0.623
-1.054 0.732 -1.790
-0.890 -2.579 -4.063
-2.681 -0.104 -3.490
-2.460 1.013 -2.434
-4.178 -3.397 -1.006
0.000 0.000 0.000
-2.609 -2.194 1.818
-1.273 -0.436 -4.844
-5.701 -1.078 -0.869
-5.366 -1.947 1.404
-0.937 -1.306 -2.571
-4.002 -2.094 -3.652
-2.636 -0.290 0.212



LiVP2HO8 | the Materials Project | GGA+U | relaxed; total magnetic moment = 4.00 Bohr magnetons per cell
1.0
-7.789 0.000 0.000
-0.015 -7.970 0.000
3.719 0.066 9.018
P O V Li H
8 32 4 4 4
Cartesian
-0.229 -1.201 3.890
-5.749 -6.746 0.619
-4.098 -2.763 3.893
-1.792 -5.186 0.619
-3.908 -6.774 5.142
0.059 -5.216 5.101
-2.252 -2.710 8.405
1.628 -1.149 8.393
-6.334 -2.635 0.886
2.243 -5.201 8.125
-5.294 -3.532 3.222
-4.006 -1.358 3.285
-7.039 -7.496 0.855
-3.372 -3.561 7.725
2.943 -0.398 8.140
-0.956 -3.508 8.153
-2.793 -3.513 3.666
-0.666 -4.362 1.319
-3.478 -6.610 3.651
-1.271 -4.399 5.368
1.039 -0.372 3.664
0.345 -5.357 3.591
-4.476 -2.711 5.401
-5.218 -7.504 5.308
-0.115 -6.565 5.781
-3.936 -5.379 5.850
0.435 -0.398 7.731
-1.664 -6.535 8.129
-1.892 -6.562 1.286
1.136 -4.332 5.771
-3.085 -4.360 0.870
1.709 -2.527 7.673
-2.402 -1.380 0.889
-0.147 -2.575 3.191
-2.137 -1.321 7.771
-2.696 -7.512 5.834
-1.390 -0.392 3.207
-4.530 -7.506 1.276
-0.566 -1.384 5.399
-5.832 -5.341 1.253
-6.767 -3.945 2.232
-4.994 -3.949 6.753
-3.073 -7.929 2.287
-1.137 0.027 6.769
0.014 -2.870 6.574
-2.216 -5.021 7.007
-1.874 -2.913 2.052
-0.164 -6.930 2.462
1.810 0.010 4.470
-3.768 -4.059 0.110
3.567 -0.028 8.890
-1.931 -4.032 4.593



Li3VP2HO8 | the Materials Project | GGA+U | relaxed; total magnetic moment = 0.00 Bohr magnetons per cell
1.0
0.001 -3.696 4.149
-8.301 -9.395 -4.932
4.572 -5.403 -4.823
O Li P H V
32 12 8 4 4
Cartesian
0.852 -3.347 0.735
-4.172 -10.325 -0.323
0.131 -11.180 -6.377
-4.346 -11.367 -2.624
-2.155 -10.327 -1.890
-1.887 -11.178 -4.809
-1.870 -5.093 -2.847
-1.339 -4.393 0.019
3.138 -7.896 0.399
-4.145 -8.851 -2.422
-1.668 -6.271 1.504
-4.580 -15.146 -6.341
3.427 -7.272 -4.597
-4.870 -12.073 -5.494
-7.133 -9.750 -3.098
-2.061 -12.220 -7.110
0.947 -8.943 -0.316
-1.858 -13.400 -2.758
-1.842 -7.315 -0.797
0.416 -9.642 -3.184
-7.157 -11.222 -1.004
3.409 -8.748 -2.508
1.142 -6.420 -0.110
-1.573 -8.167 -3.715
-2.389 -14.100 -5.627
-4.675 -9.549 -5.288
0.444 -8.168 -5.283
-6.866 -10.597 -6.003
0.618 -7.125 -2.981
1.119 -4.198 -2.170
-4.851 -14.293 -3.434
-3.859 -7.313 0.772
-0.876 -9.001 -1.197
-3.890 -15.975 -3.826
0.162 -2.518 -1.780
-2.852 -9.492 -4.408
1.409 -9.855 -5.683
-6.175 -11.428 -3.490
-5.653 -8.188 -3.788
1.926 -10.305 -1.816
2.449 -7.068 -2.117
-3.367 -12.737 -4.125
-0.361 -5.756 -1.479
-5.137 -8.638 0.077
-1.394 -11.040 -6.280
-3.055 -15.286 -6.449
-2.334 -7.453 0.674
-5.342 -10.734 -6.111
-0.049 -8.306 -3.812
-3.680 -10.187 -1.794
1.614 -7.759 0.507
-0.673 -3.210 0.843
-4.509 -12.305 -1.884
-1.504 -5.337 0.767
0.781 -6.189 -3.720
-2.224 -13.159 -6.371
-0.721 -11.519 -2.973
2.286 -4.551 -0.334
0.001 -0.003 -0.001
-3.007 -6.974 -2.636



LiVP3HO10 | the Materials Project | GGA+U | relaxed; total magnetic moment = 4.00 Bohr magnetons per cell
1.0
-5.866 -1.812 2.170
4.732 -6.290 -0.762
3.168 2.633 7.496
O P H Li V
20 6 2 2 2
Cartesian
3.852 -4.730 4.833
-0.733 -0.963 1.216
-1.818 -0.740 4.070
4.083 -2.165 5.173
-1.182 -1.251 6.752
3.217 -4.219 2.151
0.907 -4.154 3.286
5.806 -3.661 6.064
-0.708 -6.311 2.613
-2.049 -3.305 3.731
-0.266 -5.161 5.722
0.829 -2.186 8.018
2.742 0.841 6.291
-3.771 -1.808 2.839
2.767 -4.506 7.688
1.128 -1.315 5.617
1.364 -5.686 1.278
2.301 -0.309 3.181
0.671 0.217 7.625
1.205 -3.284 0.886
0.320 -1.185 6.895
0.215 -6.801 1.493
1.714 -4.285 2.009
-2.685 -1.944 4.062
4.720 -3.526 4.841
1.820 1.332 7.411
0.436 -3.082 7.983
1.598 -2.387 0.921
2.655 -5.531 6.040
-0.621 0.062 2.864
-0.908 -4.860 3.900
2.942 -0.609 5.003



Li2V2P2H12O15 | the Materials Project | GGA+U | relaxed; total magnetic moment = 8.00 Bohr magnetons per cell
1.0
-7.236 -2.492 8.557
-3.335 -5.588 9.458
3.430 6.511 7.516
O H V P Li
30 24 4 4 4
Cartesian
-7.297 -2.567 12.078
-6.748 -2.861 18.186
-6.367 -0.478 19.757
0.156 0.997 13.452
-0.393 1.291 7.344
-4.507 0.220 13.901
-0.754 3.508 9.140
-8.132 -6.379 14.505
-4.478 2.383 17.072
-6.387 -5.077 16.391
0.990 4.809 11.026
-2.046 0.313 14.798
-3.280 0.271 18.032
-0.774 -1.092 5.773
-4.496 0.072 9.016
-5.790 -2.354 14.091
-3.861 -1.841 7.498
-2.664 -3.953 8.458
-6.064 -4.615 13.047
-2.067 -0.786 8.893
-5.095 -1.883 10.732
-2.635 -1.790 11.630
-2.645 -1.642 16.515
-1.351 0.784 11.440
-3.832 1.590 11.551
-4.473 -4.423 10.546
-5.075 -0.784 16.637
-1.077 3.045 12.484
-3.309 -3.160 13.980
-2.668 2.853 14.984
-3.152 -3.163 8.032
-5.997 -1.965 11.188
-5.835 -2.798 18.501
-3.989 1.593 17.498
-7.059 -3.106 21.465
-8.331 -5.433 14.563
-2.878 1.235 11.458
-4.263 -2.805 14.073
-1.307 1.228 7.029
-3.234 2.937 15.788
-2.078 -0.458 15.456
-4.472 0.558 12.974
-3.549 0.189 14.216
-9.204 -6.020 17.608
1.190 3.863 10.968
-0.083 1.536 4.065
2.063 4.450 7.923
-1.144 0.395 14.342
-3.907 -4.507 9.743
-4.769 -3.458 10.572
-2.669 -2.128 12.556
-5.063 -1.112 10.075
-2.372 1.888 14.958
-3.592 -1.759 11.314
-6.186 -0.503 14.908
-2.026 4.399 13.737
-0.955 -1.067 10.622
-5.115 -5.969 11.793
-3.325 -0.467 8.075
-6.826 -3.331 13.398
-0.315 1.761 12.133
-3.816 -1.103 17.455
0.284 1.712 9.225
-4.455 -1.022 20.354
-7.425 -3.282 16.306
-2.686 -0.548 5.177



LiVP2HO8 | the Materials Project | GGA+U | relaxed; total magnetic moment = 2.00 Bohr magnetons per cell
1.0
4.867 0.002 -0.032
0.003 8.020 -0.003
-1.911 -0.003 7.251
O Li H P V
16 2 2 4 2
Cartesian
1.114 2.643 5.923
1.874 0.377 6.751
1.078 7.535 0.392
3.482 6.631 4.965
0.124 6.646 2.606
1.600 5.410 6.215
1.326 2.648 0.931
0.458 0.451 4.785
2.570 4.488 4.020
0.410 3.657 3.141
-0.938 4.497 6.199
-0.357 1.392 2.313
2.014 5.418 1.376
2.448 7.574 2.535
2.793 1.384 4.540
3.858 3.585 1.143
0.339 6.992 6.195
3.744 5.054 2.581
1.360 3.948 3.507
2.821 0.072 7.110
2.845 5.257 5.296
1.598 1.260 5.496
0.130 2.774 1.887
1.367 6.794 1.681
0.494 3.971 7.209
3.876 0.066 3.561



LiVP3HO10 | the Materials Project | GGA+U | relaxed; total magnetic moment = 4.00 Bohr magnetons per cell
1.0
4.123 6.040 0.000
-4.123 6.040 0.000
0.000 3.564 8.907
O Li V P H
20 2 2 6 2
Cartesian
2.325 5.238 3.344
0.969 11.333 6.066
0.114 11.781 1.783
-2.252 7.259 0.986
-2.325 10.405 5.563
-0.114 13.563 6.237
-0.422 5.618 5.283
-2.325 7.020 7.798
-2.252 6.602 3.468
-0.969 9.551 1.612
0.422 10.025 3.624
-0.114 3.862 7.124
0.969 6.092 7.295
2.252 9.041 5.440
-0.422 11.807 8.078
2.325 8.623 1.110
-0.969 4.310 2.842
0.114 2.080 2.670
2.252 8.384 7.922
0.422 3.836 0.829
-0.626 8.712 6.681
0.626 6.931 2.227
2.061 3.020 0.000
-2.061 4.802 4.454
0.597 5.042 6.267
0.597 12.383 7.094
-0.597 3.260 1.814
-3.035 6.931 2.227
3.035 8.712 6.681
-0.597 10.601 2.640
2.061 4.802 4.454
-2.061 3.020 0.000



Number 1: energy of formation from the pure elements -2483 meV per atom. Number 2: energy of formation from the pure elements -2230 meV per atom. Number 3: energy of formation from the pure elements -2374 meV per atom. Number 4: energy of formation from the pure elements -2479 meV per atom. Number 5: energy of formation from the pure elements -2525 meV per atom. Number 6: energy of formation from the pure elements -2485 meV per atom. Number 7: energy of formation from the pure elements -1904 meV per atom. Number 8: energy of formation from the pure elements -2485 meV per atom. Number 9: energy of formation from the pure elements -2498 meV per atom.